1.
The following is a r²SCAN calculation of a geometry-optimized LaSi2Ru2 structure, from the Materials Project.

Properties
SG: I4/mmm, No. 139

Cell: 4.232 4.232 5.819 Å, 111.32 111.32 90.00°
Fractional positions:
La 0.000 0.000 0.000
Ru 0.250 0.750 0.500
Ru 0.750 0.250 0.500
Si 0.641 0.641 0.283
Si 0.359 0.359 0.717



2.
The following is a r²SCAN calculation of a geometry-optimized KV2SeO7 structure, from the Materials Project.

Properties
SG: Pnma, No. 62

Cell: 5.435 6.992 17.884 Å, 90.00 90.00 90.00°
Fractional positions:
V 0.750 0.440 0.812
O 0.995 0.433 0.165
O 0.495 0.933 0.335
O 0.750 0.129 0.532
V 0.250 0.560 0.188
O 0.505 0.433 0.165
Se 0.250 0.470 0.649
K 0.750 0.743 0.536
O 0.012 0.078 0.091
O 0.512 0.922 0.909
V 0.750 0.060 0.312
O 0.250 0.889 0.779
K 0.750 0.757 0.036
Se 0.750 0.970 0.851
O 0.250 0.629 0.968
O 0.988 0.578 0.409
K 0.250 0.243 0.964
O 0.250 0.718 0.634
O 0.495 0.567 0.835
O 0.750 0.218 0.866
O 0.505 0.067 0.665
O 0.005 0.933 0.335
O 0.512 0.578 0.409
O 0.250 0.611 0.279
O 0.750 0.282 0.366
Se 0.750 0.530 0.351
V 0.250 0.940 0.688
Se 0.250 0.030 0.149
O 0.988 0.922 0.909
O 0.005 0.567 0.835
K 0.250 0.257 0.464
V 0.250 0.724 0.884
V 0.750 0.276 0.116
O 0.995 0.067 0.665
O 0.750 0.389 0.721
V 0.750 0.224 0.616
O 0.750 0.111 0.221
O 0.488 0.078 0.091
O 0.488 0.422 0.591
O 0.250 0.871 0.468
O 0.012 0.422 0.591
O 0.750 0.371 0.032
V 0.250 0.776 0.384
O 0.250 0.782 0.134



3.
The following is a r²SCAN calculation of a geometry-optimized Pm2CuOs structure, from the Materials Project.

Properties
SG: Fm-3m, No. 225

Cell: 4.955 4.955 4.955 Å, 60.00 60.00 60.00°
Fractional positions:
Pm 0.500 0.500 0.500
Cu 0.250 0.250 0.250
Pm 0.000 0.000 0.000
Os 0.750 0.750 0.750



4.
The following is a r²SCAN calculation of a geometry-optimized Tm2P4O13 structure, from the Materials Project.

Properties
SG: C222_1, No. 20

Cell: 9.236 9.236 8.498 Å, 90.00 90.00 135.93°
Fractional positions:
O 0.930 0.224 0.597
O 0.779 0.736 0.303
O 0.735 0.419 0.119
O 0.216 0.384 0.392
O 0.484 0.026 0.607
O 0.914 0.086 0.250
O 0.616 0.784 0.108
P 0.900 0.581 0.999
O 0.829 0.593 0.600
O 0.264 0.221 0.197
O 0.974 0.516 0.893
P 0.281 0.153 0.777
O 0.593 0.829 0.400
Tm 0.398 0.104 0.148
O 0.171 0.407 0.100
O 0.407 0.171 0.900
Tm 0.602 0.896 0.648
O 0.419 0.735 0.881
O 0.516 0.974 0.107
O 0.224 0.930 0.403
Tm 0.104 0.398 0.852
P 0.419 0.100 0.501
O 0.265 0.581 0.619
O 0.026 0.484 0.393
Tm 0.896 0.602 0.352
P 0.153 0.281 0.223
O 0.070 0.776 0.097
P 0.581 0.900 0.001
P 0.847 0.719 0.723
O 0.784 0.616 0.892
P 0.100 0.419 0.499
O 0.384 0.216 0.608
O 0.221 0.264 0.803
O 0.086 0.914 0.750
O 0.581 0.265 0.381
P 0.719 0.847 0.277
O 0.736 0.779 0.697
O 0.776 0.070 0.903



What raw total energy values result from the calculations? In sequence: -0.756 -0.378 -1.135 -0.464 hartree per atom.
What formation energy from the elements values result from the calculations? In sequence: -0.950 -2.088 -0.148 -2.959 eV per atom.
What theoretical density values result from the calculations? In sequence: 7.380 3.244 10.496 4.412 Mg/m³.